[1]
An optimized crystal structure of Na2SmCl5. Source: Materials Project, functional r2SCAN.

Results
**Space-group type**: Pnma (62)
**Final energy**: -343.5 eV per cell
**Formation energy from the elements**: -18.26 eV per formula unit

Unit cell a=7.6842 b=8.3018 c=12.0098 alpha=90.00 beta=90.00 gamma=90.00
Last column: nearest neighbours and their distance in Å.
Fractional positions:
Na (0.4790, 0.4964, 0.3226)  7 Cl 2.93-3.09
Na (0.0210, 0.4964, 0.8226)  7 Cl 2.93-3.09
Na (0.9790, 0.5036, 0.1774)  7 Cl 2.93-3.09
Na (0.5210, 0.9964, 0.6774)  7 Cl 2.93-3.09
Na (0.4790, 0.0036, 0.3226)  7 Cl 2.93-3.09
Na (0.5210, 0.5036, 0.6774)  7 Cl 2.93-3.09
Na (0.9790, 0.9964, 0.1774)  7 Cl 2.93-3.09
Na (0.0210, 0.0036, 0.8226)  7 Cl 2.93-3.09
Cl (0.8555, 0.2500, 0.6806)  1 Sm 2.74, 2 Na 2.95
Cl (0.8169, 0.7500, 0.7151)  1 Sm 2.76, 4 Na 2.93-3.09
Cl (0.1445, 0.7500, 0.3194)  1 Sm 2.74, 2 Na 2.95
Cl (0.3169, 0.2500, 0.7849)  1 Sm 2.76, 4 Na 2.93-3.09
Cl (0.1628, 0.5457, 0.5913)  2 Sm 2.72-2.81, 2 Na 2.96-3.01
Cl (0.1628, 0.9543, 0.5913)  2 Sm 2.72-2.81, 2 Na 2.96-3.01
Cl (0.6445, 0.2500, 0.1806)  1 Sm 2.74, 2 Na 2.95
Cl (0.6628, 0.0457, 0.9087)  2 Sm 2.72-2.81, 2 Na 2.96-3.01
Cl (0.5539, 0.7500, 0.4950)  1 Sm 2.77, 4 Na 3.01
Cl (0.4461, 0.2500, 0.5050)  1 Sm 2.77, 4 Na 3.01
Cl (0.9461, 0.7500, 0.9950)  1 Sm 2.77, 4 Na 3.01
Cl (0.3372, 0.9543, 0.0913)  2 Sm 2.72-2.81, 2 Na 2.96-3.01
Cl (0.6628, 0.4543, 0.9087)  2 Sm 2.72-2.81, 2 Na 2.96-3.01
Cl (0.0539, 0.2500, 0.0050)  1 Sm 2.77, 4 Na 3.01
Cl (0.3372, 0.5457, 0.0913)  2 Sm 2.72-2.81, 2 Na 2.96-3.01
Cl (0.8372, 0.4543, 0.4087)  2 Sm 2.72-2.81, 2 Na 2.96-3.01
Cl (0.1831, 0.2500, 0.2849)  1 Sm 2.76, 4 Na 2.93-3.09
Cl (0.8372, 0.0457, 0.4087)  2 Sm 2.72-2.81, 2 Na 2.96-3.01
Cl (0.3555, 0.7500, 0.8194)  1 Sm 2.74, 2 Na 2.95
Cl (0.6831, 0.7500, 0.2151)  1 Sm 2.76, 4 Na 2.93-3.09
Sm (0.4139, 0.2500, 0.0066)  7 Cl 2.72-2.81
Sm (0.5861, 0.7500, 0.9934)  7 Cl 2.72-2.81
Sm (0.9139, 0.7500, 0.4934)  7 Cl 2.72-2.81
Sm (0.0861, 0.2500, 0.5066)  7 Cl 2.72-2.81

=====

[2]
An optimized crystal structure of NaSn2Cl5. Source: Materials Project, functional r2SCAN.

Results
**Space-group type**: Pnnm (58)
**Final energy**: -377.3 eV per cell
**Formation energy from the elements**: -10.49 eV per formula unit

Unit cell a=8.3546 b=8.7359 c=11.9699 alpha=90.00 beta=90.00 gamma=90.00
Last column: nearest neighbours and their distance in Å.
Fractional positions:
Na (0.5000, 0.2476, 0.0000)  6 Cl 2.80-2.86
Na (0.0000, 0.2524, 0.5000)  6 Cl 2.80-2.86
Na (0.5000, 0.7524, 0.0000)  6 Cl 2.80-2.86
Na (0.0000, 0.7476, 0.5000)  6 Cl 2.80-2.86
Cl (0.6699, 0.2173, 0.2064)  1 Sn 2.59, 1 Na 2.86
Cl (0.3301, 0.7827, 0.7936)  1 Sn 2.59, 1 Na 2.86
Cl (0.0000, 0.7978, 0.0000)  2 Sn 2.71
Cl (0.3301, 0.2173, 0.7936)  1 Sn 2.59, 1 Na 2.86
Cl (0.1699, 0.7173, 0.2936)  1 Sn 2.59, 1 Na 2.86
Cl (0.6633, 0.0000, 0.9003)  1 Sn 2.55, 2 Na 2.82
Cl (0.8367, 0.5000, 0.4003)  1 Sn 2.55, 2 Na 2.82
Cl (0.3144, 0.5000, 0.0647)  1 Sn 2.58, 2 Na 2.80
Cl (0.8144, 0.0000, 0.4353)  1 Sn 2.58, 2 Na 2.80
Cl (0.8301, 0.7173, 0.7064)  1 Sn 2.59, 1 Na 2.86
Cl (0.1699, 0.2827, 0.2936)  1 Sn 2.59, 1 Na 2.86
Cl (0.1633, 0.5000, 0.5997)  1 Sn 2.55, 2 Na 2.82
Cl (0.5000, 0.7022, 0.5000)  2 Sn 2.71
Cl (0.6856, 0.5000, 0.9353)  1 Sn 2.58, 2 Na 2.80
Cl (0.8301, 0.2827, 0.7064)  1 Sn 2.59, 1 Na 2.86
Cl (0.3367, 0.0000, 0.0997)  1 Sn 2.55, 2 Na 2.82
Cl (0.1856, 0.0000, 0.5647)  1 Sn 2.58, 2 Na 2.80
Cl (0.6699, 0.7827, 0.2064)  1 Sn 2.59, 1 Na 2.86
Cl (0.5000, 0.2978, 0.5000)  2 Sn 2.71
Cl (0.0000, 0.2022, 0.0000)  2 Sn 2.71
Sn (0.4526, 0.5000, 0.6683)  3 Cl 2.55-2.71
Sn (0.5474, 0.5000, 0.3317)  3 Cl 2.55-2.71
Sn (0.0481, 0.5000, 0.1735)  3 Cl 2.58-2.59
Sn (0.5481, 0.0000, 0.3265)  3 Cl 2.58-2.59
Sn (0.0474, 0.0000, 0.1683)  3 Cl 2.55-2.71
Sn (0.9526, 0.0000, 0.8317)  3 Cl 2.55-2.71
Sn (0.4519, 0.0000, 0.6735)  3 Cl 2.58-2.59
Sn (0.9519, 0.5000, 0.8265)  3 Cl 2.58-2.59

=====

[3]
An optimized crystal structure of NaTaCl6. Source: Materials Project, functional r2SCAN.

Results
**Space-group type**: P2_1/c (14)
**Final energy**: -408.8 eV per cell
**Formation energy from the elements**: -13.12 eV per formula unit

Unit cell a=6.9073 b=6.4610 c=19.2218 alpha=88.37 beta=90.00 gamma=90.00
Last column: nearest neighbours and their distance in Å.
Fractional positions:
Cl (0.7460, 0.8887, 0.0083)  1 Ta 2.28
Cl (0.4967, 0.9182, 0.1566)  1 Ta 2.42
Cl (0.5033, 0.0818, 0.8434)  1 Ta 2.42
Cl (0.9247, 0.4131, 0.9082)  1 Ta 2.30
Cl (0.1812, 0.3836, 0.7614)  1 Ta 2.47
Cl (0.0753, 0.5869, 0.0918)  1 Ta 2.30
Cl (0.5365, 0.0409, 0.6553)  1 Ta 2.43
Cl (0.8960, 0.4508, 0.5950)  1 Ta 2.30
Cl (0.8188, 0.6164, 0.2386)  1 Ta 2.47
Cl (0.3960, 0.5492, 0.9050)  1 Ta 2.30
Cl (0.6812, 0.6164, 0.7386)  1 Ta 2.47
Cl (0.4247, 0.5869, 0.5918)  1 Ta 2.30
Cl (0.9635, 0.0409, 0.1553)  1 Ta 2.43
Cl (0.0365, 0.9591, 0.8447)  1 Ta 2.43
Cl (0.1040, 0.5492, 0.4050)  1 Ta 2.30
Cl (0.4635, 0.9591, 0.3447)  1 Ta 2.43
Cl (0.2460, 0.1113, 0.4917)  1 Ta 2.28
Cl (0.0033, 0.9182, 0.6566)  1 Ta 2.42
Cl (0.6040, 0.4508, 0.0950)  1 Ta 2.30
Cl (0.9967, 0.0818, 0.3434)  1 Ta 2.42
Cl (0.2540, 0.1113, 0.9917)  1 Ta 2.28
Cl (0.5753, 0.4131, 0.4082)  1 Ta 2.30
Cl (0.3188, 0.3836, 0.2614)  1 Ta 2.47
Cl (0.7540, 0.8887, 0.5083)  1 Ta 2.28
Na (0.3090, 0.7934, 0.7538)  6 Cl 2.79-2.92
Na (0.8090, 0.2066, 0.7462)  6 Cl 2.79-2.92
Na (0.6910, 0.2066, 0.2462)  6 Cl 2.79-2.92
Na (0.1910, 0.7934, 0.2538)  6 Cl 2.79-2.92
Ta (0.7158, 0.7422, 0.6166)  6 Cl 2.28-2.47
Ta (0.2842, 0.2578, 0.3834)  6 Cl 2.28-2.47
Ta (0.7842, 0.7422, 0.1166)  6 Cl 2.28-2.47
Ta (0.2158, 0.2578, 0.8834)  6 Cl 2.28-2.47

=====

[4]
An optimized crystal structure of NaTbCl4. Source: Materials Project, functional r2SCAN.

Results
**Space-group type**: P-1 (2)
**Final energy**: -147.4 eV per cell
**Formation energy from the elements**: -14.28 eV per formula unit

Unit cell a=6.6191 b=6.7231 c=6.9481 alpha=89.52 beta=91.84 gamma=101.07
Last column: nearest neighbours and their distance in Å.
Fractional positions:
Cl (0.5688, 0.3118, 0.8797)  2 Tb 2.69-2.77, 1 Na 2.95
Cl (0.6079, 0.7937, 0.6313)  1 Tb 2.59, 2 Na 2.73-2.79
Cl (0.4312, 0.6882, 0.1203)  2 Tb 2.69-2.77, 1 Na 2.95
Cl (0.9034, 0.0020, 0.2091)  2 Tb 2.73-2.80, 1 Na 2.87
Cl (0.0966, 0.9980, 0.7909)  2 Tb 2.73-2.80, 1 Na 2.87
Cl (0.0487, 0.4978, 0.7535)  2 Tb 2.76-2.77, 2 Na 2.88-2.98
Cl (0.9513, 0.5022, 0.2465)  2 Tb 2.76-2.77, 2 Na 2.88-2.98
Cl (0.3921, 0.2063, 0.3687)  1 Tb 2.59, 2 Na 2.73-2.79
Tb (0.7895, 0.7002, 0.9451)  7 Cl 2.59-2.80
Tb (0.2105, 0.2998, 0.0549)  7 Cl 2.59-2.80
Na (0.2313, 0.8050, 0.4645)  6 Cl 2.73-2.98
Na (0.7687, 0.1950, 0.5355)  6 Cl 2.73-2.98